This record from Materials Project describes a relaxed LiMnPO4 crystal. The functional is GGA+U.

Properties
Crystal system: monoclinic
Calculated total energy (eV/atom): -7.13
Total magnetization (μB/atom): 0.714
SG: P2_1/c, No. 14
Excess energy over the best structure of this formula in the dataset (meV/atom): 59

a b c (Å): 8.838 7.970 17.638
angles (deg): 90.00 119.23 90.00
Atoms (fractional coordinates):
1 Li 0.004 0.133 0.254
2 Li 0.004 0.367 0.754
3 Li 0.272 0.008 0.564
4 Li 0.272 0.492 0.064
5 Li 0.363 0.015 0.087
6 Li 0.363 0.485 0.587
7 Li 0.637 0.515 0.413
8 Li 0.637 0.985 0.913
9 Li 0.728 0.508 0.936
10 Li 0.728 0.992 0.436
11 Li 0.996 0.633 0.246
12 Li 0.996 0.867 0.746
13 Mn 0.017 0.165 0.919
14 Mn 0.017 0.335 0.419
15 Mn 0.315 0.177 0.737
16 Mn 0.315 0.323 0.237
17 Mn 0.348 0.665 0.905
18 Mn 0.348 0.835 0.405
19 Mn 0.652 0.165 0.595
20 Mn 0.652 0.335 0.095
21 Mn 0.685 0.677 0.763
22 Mn 0.685 0.823 0.263
23 Mn 0.983 0.665 0.581
24 Mn 0.983 0.835 0.081
25 P 0.036 0.735 0.428
26 P 0.036 0.765 0.928
27 P 0.313 0.722 0.228
28 P 0.313 0.778 0.728
29 P 0.361 0.242 0.413
30 P 0.361 0.258 0.913
31 P 0.639 0.742 0.087
32 P 0.639 0.758 0.587
33 P 0.687 0.222 0.272
34 P 0.687 0.278 0.772
35 P 0.964 0.235 0.072
36 P 0.964 0.265 0.572
37 O 0.070 0.214 0.172
38 O 0.070 0.286 0.672
39 O 0.092 0.218 0.538
40 O 0.092 0.282 0.038
41 O 0.131 0.566 0.469
42 O 0.131 0.934 0.969
43 O 0.159 0.228 0.364
44 O 0.159 0.272 0.864
45 O 0.176 0.626 0.953
46 O 0.176 0.874 0.453
47 O 0.214 0.732 0.280
48 O 0.214 0.768 0.780
49 O 0.254 0.632 0.661
50 O 0.254 0.868 0.161
51 O 0.264 0.555 0.175
52 O 0.264 0.945 0.675
53 O 0.415 0.119 0.868
54 O 0.415 0.381 0.368
55 O 0.423 0.216 0.009
56 O 0.423 0.284 0.509
57 O 0.441 0.073 0.404
58 O 0.441 0.427 0.904
59 O 0.490 0.226 0.205
60 O 0.490 0.274 0.705
61 O 0.510 0.726 0.295
62 O 0.510 0.774 0.795
63 O 0.559 0.573 0.096
64 O 0.559 0.927 0.596
65 O 0.577 0.716 0.491
66 O 0.577 0.784 0.991
67 O 0.585 0.619 0.632
68 O 0.585 0.881 0.132
69 O 0.736 0.055 0.325
70 O 0.736 0.445 0.825
71 O 0.746 0.132 0.839
72 O 0.746 0.368 0.339
73 O 0.786 0.232 0.220
74 O 0.786 0.268 0.720
75 O 0.824 0.126 0.547
76 O 0.824 0.374 0.047
77 O 0.841 0.728 0.136
78 O 0.841 0.772 0.636
79 O 0.869 0.066 0.031
80 O 0.869 0.434 0.531
81 O 0.908 0.718 0.962
82 O 0.908 0.782 0.462
83 O 0.930 0.714 0.328
84 O 0.930 0.786 0.828



This record from Materials Project describes a relaxed LiMn2PO5 crystal. The functional is GGA+U.

Properties
Crystal system: orthorhombic
Calculated total energy (eV/atom): -7.25
Total magnetization (μB/atom): 1.111
Largest piezoelectric modulus (C/m²): 0.2
SG: Pna2_1, No. 33

a b c (Å): 8.646 7.829 6.456
angles (deg): 90.00 90.00 90.00
Atoms (fractional coordinates):
1 Li 0.113 0.160 0.000
2 Li 0.387 0.660 0.500
3 Li 0.613 0.340 0.000
4 Li 0.887 0.840 0.500
5 Mn 0.002 0.489 0.438
6 Mn 0.166 0.875 0.708
7 Mn 0.334 0.375 0.208
8 Mn 0.498 0.989 0.938
9 Mn 0.502 0.011 0.438
10 Mn 0.666 0.625 0.708
11 Mn 0.834 0.125 0.208
12 Mn 0.998 0.511 0.938
13 P 0.157 0.839 0.212
14 P 0.343 0.339 0.712
15 P 0.657 0.661 0.212
16 P 0.843 0.161 0.712
17 O 0.002 0.929 0.253
18 O 0.012 0.679 0.680
19 O 0.130 0.645 0.181
20 O 0.234 0.363 0.903
21 O 0.237 0.923 0.019
22 O 0.263 0.423 0.519
23 O 0.266 0.863 0.403
24 O 0.370 0.145 0.681
25 O 0.488 0.179 0.180
26 O 0.498 0.429 0.753
27 O 0.502 0.571 0.253
28 O 0.512 0.821 0.680
29 O 0.630 0.855 0.181
30 O 0.734 0.137 0.903
31 O 0.737 0.577 0.019
32 O 0.763 0.077 0.519
33 O 0.766 0.637 0.403
34 O 0.870 0.355 0.681
35 O 0.988 0.321 0.180
36 O 0.998 0.071 0.753



This record from Materials Project describes a relaxed Li2Mn2P3O12 crystal. The functional is GGA+U.

Properties
Crystal system: triclinic
Calculated total energy (eV/atom): -7.01
Total magnetization (μB/atom): 0.369
SG: P-1, No. 2
Excess energy over the best structure of this formula in the dataset (meV/atom): 0

a b c (Å): 8.252 8.318 8.802
angles (deg): 62.90 89.28 60.97
Atoms (fractional coordinates):
1 Li 0.182 0.396 0.361
2 Li 0.238 0.939 0.628
3 Li 0.762 0.061 0.372
4 Li 0.818 0.604 0.639
5 Mn 0.157 0.692 0.457
6 Mn 0.355 0.285 0.067
7 Mn 0.645 0.715 0.933
8 Mn 0.843 0.308 0.543
9 P 0.039 0.204 0.247
10 P 0.238 0.222 0.742
11 P 0.464 0.505 0.248
12 P 0.536 0.495 0.752
13 P 0.762 0.778 0.258
14 P 0.961 0.796 0.753
15 O 0.016 0.009 0.314
16 O 0.017 0.309 0.697
17 O 0.034 0.253 0.406
18 O 0.117 0.607 0.918
19 O 0.246 0.141 0.235
20 O 0.275 0.384 0.586
21 O 0.291 0.201 0.918
22 O 0.329 0.661 0.307
23 O 0.335 0.679 0.611
24 O 0.358 0.011 0.747
25 O 0.382 0.376 0.238
26 O 0.484 0.636 0.069
27 O 0.516 0.364 0.931
28 O 0.618 0.624 0.762
29 O 0.642 0.989 0.253
30 O 0.665 0.321 0.389
31 O 0.671 0.339 0.693
32 O 0.709 0.799 0.082
33 O 0.725 0.616 0.414
34 O 0.754 0.859 0.765
35 O 0.883 0.393 0.082
36 O 0.966 0.747 0.594
37 O 0.983 0.691 0.303
38 O 0.984 0.991 0.686